The following is a r²SCAN calculation of an optimized crystal structure of Ho3Al12Os4, from Materials Project.

Cell: 8.765 8.765 9.502 Å, 90.00 90.00 120.00°
Fractional positions:
Al1 0.837 0.674 0.425
Al2 0.333 0.667 0.012
Al3 0.333 0.667 0.488
Al4 0.667 0.333 0.512
Al5 0.837 0.674 0.075
Al6 0.674 0.837 0.575
Al7 0.439 0.878 0.750
Al8 0.163 0.326 0.575
Al9 0.326 0.163 0.075
Al10 0.122 0.561 0.750
Al11 0.163 0.837 0.925
Al12 0.163 0.326 0.925
Al13 0.674 0.837 0.925
Al14 0.326 0.163 0.425
Al15 0.000 0.000 0.250
Al16 0.837 0.163 0.425
Al17 0.878 0.439 0.250
Al18 0.439 0.561 0.750
Al19 0.163 0.837 0.575
Al20 0.837 0.163 0.075
Al21 0.000 0.000 0.750
Al22 0.561 0.122 0.250
Al23 0.667 0.333 0.988
Al24 0.561 0.439 0.250
Os1 0.000 0.500 0.500
Os2 0.000 0.000 0.000
Os3 0.000 0.000 0.500
Os4 0.500 0.500 0.500
Os5 0.500 0.000 0.000
Os6 0.500 0.000 0.500
Os7 0.000 0.500 0.000
Os8 0.500 0.500 0.000
Ho1 0.807 0.193 0.750
Ho2 0.193 0.807 0.250
Ho3 0.613 0.807 0.250
Ho4 0.807 0.613 0.750
Ho5 0.193 0.387 0.250
Ho6 0.387 0.193 0.750

Values from the calculation:
Energy relative to the elements = -0.68 eV/atom
Symmetry = P6_3/mmc